Entry 1:
Density functional theory data (PBE) for an optimized crystal structure of V2CuS4.

```
V2CuS4
1.0
6.944 0.000 0.000
3.472 3.511 4.911
3.472 -3.511 4.911
V S Cu
4 8 2
direct
0.478 0.253 0.253
0.506 0.757 0.231
0.506 0.231 0.757
0.016 0.253 0.253
0.740 0.493 0.493
0.745 0.023 0.486
0.254 0.006 0.006
0.734 0.006 0.006
0.273 0.493 0.493
0.745 0.486 0.023
0.256 0.486 0.001
0.256 0.001 0.486
0.874 0.626 0.626
0.126 0.874 0.874
```

Values from the calculation:
Spin magnetization: 5.999 μB/cell
Symmetry: Imm2
Energy of formation from the pure elements: -707.4 kJ/mol of formula units


Entry 2:
Density functional theory data (PBE) for an optimized crystal structure of V7Cu2S12.

```
V7Cu2S12
1.0
6.656 0.000 0.000
-1.910 6.430 0.000
-0.008 -2.593 7.598
S V Cu
12 7 2
direct
0.992 0.970 0.688
0.477 0.931 0.704
0.342 0.364 0.650
0.320 0.298 0.014
0.658 0.636 0.350
0.812 0.261 0.037
0.680 0.702 0.986
0.523 0.069 0.296
0.188 0.739 0.963
0.008 0.030 0.312
0.856 0.403 0.628
0.144 0.597 0.372
0.615 0.310 0.819
0.284 0.975 0.487
0.948 0.642 0.154
0.000 0.000 0.000
0.052 0.358 0.846
0.385 0.690 0.181
0.716 0.025 0.513
0.333 0.333 0.334
0.667 0.667 0.666
```

Values from the calculation:
Spin magnetization: 3.016 μB/cell
Symmetry: P-1
Energy of formation from the pure elements: -2261.5 kJ/mol of formula units


Entry 3:
Density functional theory data (PBE) for an optimized crystal structure of Y2Cu3S6.

```
Y2Cu3S6
1.0
-0.087 -3.833 -4.970
-6.239 -7.565 5.943
-11.373 5.938 -4.381
Y S Cu
8 24 12
direct
0.996 0.919 0.639
0.504 0.581 0.139
0.496 0.081 0.861
0.004 0.081 0.361
0.504 0.919 0.139
0.996 0.581 0.639
0.496 0.419 0.861
0.004 0.419 0.361
0.745 0.250 0.798
0.754 0.912 0.297
0.755 0.250 0.298
0.732 0.750 0.539
0.268 0.250 0.461
0.243 0.921 0.965
0.243 0.579 0.965
0.257 0.921 0.465
0.257 0.579 0.465
0.255 0.750 0.202
0.746 0.912 0.797
0.743 0.421 0.535
0.246 0.088 0.703
0.743 0.079 0.535
0.757 0.421 0.035
0.232 0.250 0.961
0.254 0.088 0.203
0.245 0.750 0.702
0.254 0.412 0.203
0.754 0.588 0.297
0.246 0.412 0.703
0.746 0.588 0.797
0.757 0.079 0.035
0.768 0.750 0.039
0.633 0.913 0.451
0.867 0.913 0.951
0.365 0.750 0.547
0.133 0.413 0.049
0.133 0.087 0.049
0.135 0.750 0.047
0.865 0.250 0.953
0.633 0.587 0.451
0.635 0.250 0.453
0.367 0.413 0.549
0.367 0.087 0.549
0.867 0.587 0.951
```

Values from the calculation:
Spin magnetization: 0.120 μB/cell
Symmetry: Pnma
Energy of formation from the pure elements: -1196.0 kJ/mol of formula units


Entry 4:
Density functional theory data (PBE) for an optimized crystal structure of YCu2S2.

```
YCu2S2
1.0
1.964 -3.401 0.000
1.964 3.401 0.000
0.000 0.000 6.414
Y S Cu
1 2 2
direct
0.000 0.000 0.000
0.667 0.333 0.267
0.333 0.667 0.733
0.333 0.667 0.342
0.667 0.333 0.658
```

Values from the calculation:
Spin magnetization: 0.004 μB/cell
Symmetry: P-3m1
Energy of formation from the pure elements: -483.5 kJ/mol of formula units


Entry 5:
Density functional theory data (PBE) for an optimized crystal structure of YCu3S3.

```
YCu3S3
1.0
0.000 6.673 0.000
5.779 3.336 0.000
3.853 0.000 -6.364
Y S Cu
2 6 6
direct
0.000 0.000 0.001
0.333 0.334 0.999
0.249 0.836 0.748
0.084 0.498 0.252
0.750 0.166 0.252
0.584 0.167 0.748
0.418 0.832 0.252
0.915 0.501 0.748
0.128 0.082 0.370
0.543 0.576 0.630
0.881 0.913 0.630
0.790 0.758 0.370
0.452 0.420 0.370
0.205 0.252 0.630
```

Values from the calculation:
Symmetry: R-3
Energy of formation from the pure elements: -719.4 kJ/mol of formula units


Entry 6:
Density functional theory data (PBE) for an optimized crystal structure of Zr4CuS8.

```
Zr4CuS8
1.0
0.000 5.250 5.250
5.250 0.000 5.250
5.250 5.250 0.000
Zr S Cu
4 8 1
direct
0.127 0.618 0.127
0.618 0.127 0.127
0.127 0.127 0.127
0.127 0.127 0.618
0.886 0.371 0.371
0.878 0.878 0.367
0.367 0.878 0.878
0.878 0.878 0.878
0.878 0.367 0.878
0.371 0.371 0.371
0.371 0.371 0.886
0.371 0.886 0.371
0.750 0.750 0.750
```

Values from the calculation:
Symmetry: F-43m
Energy of formation from the pure elements: -2151.1 kJ/mol of formula units


Entry 7:
Density functional theory data (PBE) for an optimized crystal structure of Zr2CuS4.

```
Zr2CuS4
1.0
7.305 0.099 -1.096
4.152 -5.678 2.260
3.054 -4.547 -4.958
S Cu Zr
8 2 4
direct
0.374 0.879 0.374
0.374 0.374 0.879
0.876 0.876 0.876
0.879 0.374 0.374
0.371 0.876 0.876
0.374 0.374 0.374
0.876 0.876 0.371
0.876 0.371 0.876
0.750 0.750 0.750
0.500 0.500 0.500
0.125 0.125 0.625
0.125 0.125 0.125
0.125 0.625 0.125
0.625 0.125 0.125
```

Values from the calculation:
Symmetry: Fd-3m
Energy of formation from the pure elements: -1077.9 kJ/mol of formula units


Entry 8:
Density functional theory data (PBE) for an optimized crystal structure of Cu11Sb3.

```
Cu11Sb3
1.0
-9.026 2.182 3.502
6.737 -6.426 -3.437
1.396 -0.692 4.031
Cu Sb
11 3
direct
0.554 0.126 0.000
0.277 0.423 0.000
0.050 0.345 0.500
0.433 0.873 0.500
0.728 0.581 0.500
0.345 0.050 0.500
0.581 0.728 0.500
0.423 0.277 0.000
0.803 0.803 0.000
0.873 0.433 0.500
0.126 0.554 0.000
0.165 0.165 0.500
0.695 0.987 0.000
0.987 0.695 0.000
```

Values from the calculation:
Spin magnetization: 0.001 μB/cell
Symmetry: Amm2
Energy of formation from the pure elements: 20.3 kJ/mol of formula units


Entry 9:
Density functional theory data (PBE) for an optimized crystal structure of Cu3SbSe4.

```
Cu3SbSe4
1.0
-2.850 1.136 -4.829
-3.133 -4.730 0.736
-0.832 4.791 5.007
Sb Cu Se
1 3 4
direct
0.000 0.000 0.000
0.500 0.500 0.000
0.750 0.250 0.500
0.250 0.750 0.500
0.132 0.599 0.732
0.401 0.401 0.268
0.868 0.868 0.268
0.599 0.132 0.732
```

Values from the calculation:
Symmetry: I-42m
Energy of formation from the pure elements: -322.4 kJ/mol of formula units
ΔE to the lowest computed polymorph: 0.0 kJ per mole of atoms


Entry 10:
Density functional theory data (PBE) for an optimized crystal structure of Cu3SbSe4.

```
Cu3SbSe4
1.0
13.532 -1.999 0.000
13.532 1.999 0.000
13.236 0.000 3.450
Se Cu Sb
4 3 1
direct
0.935 0.935 0.935
0.675 0.675 0.675
0.191 0.191 0.191
0.451 0.451 0.451
0.250 0.250 0.250
0.512 0.512 0.512
0.994 0.994 0.994
0.742 0.742 0.742
```

Values from the calculation:
Spin magnetization: 0.002 μB/cell
Symmetry: R3m
Energy of formation from the pure elements: -237.8 kJ/mol of formula units
ΔE to the lowest computed polymorph: 10.6 kJ per mole of atoms


Entry 11:
Density functional theory data (PBE) for an optimized crystal structure of CuSbSe2.

```
CuSbSe2
1.0
4.034 0.000 0.000
0.000 6.457 0.000
0.000 0.000 14.929
Se Sb Cu
8 4 4
direct
0.750 0.624 0.676
0.250 0.376 0.324
0.750 0.124 0.824
0.750 0.373 0.096
0.750 0.873 0.404
0.250 0.627 0.904
0.250 0.876 0.176
0.250 0.127 0.596
0.750 0.272 0.443
0.750 0.772 0.057
0.250 0.728 0.557
0.250 0.228 0.943
0.750 0.251 0.670
0.750 0.751 0.830
0.250 0.249 0.170
0.250 0.749 0.330
```

Values from the calculation:
Symmetry: Pnma
Energy of formation from the pure elements: -169.3 kJ/mol of formula units


Entry 12:
Density functional theory data (PBE) for an optimized crystal structure of SmCuSb2.

```
SmCuSb2
1.0
-3.041 2.981 0.821
-0.470 -1.584 4.010
7.065 6.294 3.313
Cu Sm Sb
2 2 4
direct
0.500 0.500 0.500
0.000 0.000 0.500
0.000 0.500 0.751
0.500 0.000 0.249
0.500 0.000 0.656
0.500 0.500 0.000
0.000 0.500 0.344
0.000 0.000 0.000
```

Values from the calculation:
Symmetry: P4/nmm
Energy of formation from the pure elements: -289.4 kJ/mol of formula units


Entry 13:
Density functional theory data (PBE) for an optimized crystal structure of SrCuSb.

```
SrCuSb
1.0
-2.284 2.723 2.827
3.468 -2.488 1.551
5.596 6.635 -1.870
Sb Cu Sr
2 2 2
direct
0.333 0.667 0.750
0.667 0.333 0.250
0.333 0.667 0.250
0.667 0.333 0.750
0.000 0.000 0.000
0.000 0.000 0.500
```

Values from the calculation:
Symmetry: P6_3/mmc
Energy of formation from the pure elements: -221.8 kJ/mol of formula units


Entry 14:
Density functional theory data (PBE) for an optimized crystal structure of Tb3Cu3Sb4.

```
Tb3Cu3Sb4
1.0
4.643 6.499 2.337
-7.293 0.219 4.002
3.979 -7.066 1.869
Tb Sb Cu
6 8 6
direct
0.875 0.250 0.125
0.250 0.125 0.875
0.375 0.625 0.750
0.125 0.875 0.250
0.750 0.375 0.625
0.625 0.750 0.375
0.000 0.660 0.500
0.000 0.160 0.500
0.500 0.000 0.160
0.500 0.000 0.660
0.660 0.500 0.000
0.840 0.840 0.840
0.160 0.500 0.000
0.340 0.340 0.340
0.375 0.250 0.625
0.250 0.625 0.375
0.125 0.750 0.875
0.750 0.875 0.125
0.875 0.125 0.750
0.625 0.375 0.250
```

Values from the calculation:
Symmetry: I-43d
Energy of formation from the pure elements: -782.2 kJ/mol of formula units


Entry 15:
Density functional theory data (PBE) for an optimized crystal structure of TbCuSb2.

```
TbCuSb2
1.0
-1.689 -3.587 -1.658
3.560 -0.599 -2.331
3.952 -5.277 7.392
Tb Cu Sb
2 2 4
direct
0.500 0.000 0.247
0.000 0.500 0.753
0.000 0.000 0.500
0.500 0.500 0.500
0.000 0.000 0.000
0.000 0.500 0.338
0.500 0.500 0.000
0.500 0.000 0.662
```

Values from the calculation:
Symmetry: P4/nmm
Energy of formation from the pure elements: -276.5 kJ/mol of formula units


Entry 16:
Density functional theory data (PBE) for an optimized crystal structure of CuSbTe2.

```
CuSbTe2
1.0
-3.477 -0.170 -2.627
-3.943 -0.856 1.655
-3.581 6.714 0.687
Cu Te Sb
1 2 1
direct
0.418 0.418 0.745
0.622 0.622 0.133
0.204 0.204 0.387
0.780 0.780 0.660
```

Values from the calculation:
Spin magnetization: 0.002 μB/cell
Symmetry: R3m
Energy of formation from the pure elements: 38.2 kJ/mol of formula units


Entry 17:
Density functional theory data (PBE) for an optimized crystal structure of Zr4CuSb7.

```
Zr4CuSb7
1.0
11.290 0.000 0.000
0.000 11.290 0.000
0.000 0.000 8.773
Zr Cu Sb
16 4 28
direct
0.500 0.000 0.285
0.005 0.249 0.820
0.254 0.754 0.293
0.749 0.505 0.820
0.754 0.746 0.293
0.000 0.500 0.285
0.246 0.254 0.293
0.746 0.246 0.293
0.495 0.749 0.820
0.000 0.000 0.301
0.751 0.005 0.820
0.995 0.751 0.820
0.249 0.995 0.820
0.500 0.500 0.301
0.505 0.251 0.820
0.251 0.495 0.820
0.626 0.874 0.552
0.874 0.374 0.552
0.126 0.626 0.552
0.374 0.126 0.552
0.251 0.503 0.175
0.747 0.753 0.942
0.497 0.251 0.175
0.125 0.857 0.557
0.143 0.125 0.557
0.500 0.000 0.933
0.247 0.747 0.942
0.000 0.500 0.933
0.997 0.249 0.175
0.608 0.108 0.558
0.375 0.357 0.557
0.643 0.375 0.557
0.753 0.253 0.942
0.625 0.643 0.557
0.892 0.608 0.558
0.749 0.497 0.175
0.751 0.997 0.175
0.392 0.892 0.558
0.253 0.247 0.942
0.875 0.143 0.557
0.249 0.003 0.175
0.503 0.749 0.175
0.003 0.751 0.175
0.357 0.625 0.557
0.500 0.500 0.947
0.108 0.392 0.558
0.000 0.000 0.947
0.857 0.875 0.557
```

Values from the calculation:
Spin magnetization: 0.001 μB/cell
Symmetry: P4bm
Energy of formation from the pure elements: -747.5 kJ/mol of formula units


Entry 18:
Density functional theory data (PBE) for an optimized crystal structure of ScCu2.

```
ScCu2
1.0
-1.651 1.651 4.189
1.651 -1.651 4.189
1.651 1.651 -4.189
Cu Sc
2 1
direct
0.672 0.672 0.000
0.328 0.328 0.000
0.000 0.000 0.000
```

Values from the calculation:
Symmetry: I4/mmm
Energy of formation from the pure elements: -75.1 kJ/mol of formula units